# 1
Ag33Pb14O42 after structural relaxation, computed with PBE.

a = 8.880 Å, b = 8.882 Å, c = 19.248 Å
α = 85.94°, β = 85.74°, γ = 72.03°
Atoms (fractional coordinates):
Ag: 0.929 0.430 0.858
Ag: 0.213 0.215 0.930
Ag: 0.042 0.042 0.819
Ag: 0.428 0.929 0.857
Ag: 0.358 0.857 0.714
Ag: 0.642 0.643 0.786
Ag: 0.471 0.471 0.678
Ag: 0.858 0.358 0.714
Ag: 0.784 0.289 0.571
Ag: 0.820 0.813 0.896
Ag: 0.072 0.072 0.643
Ag: 0.899 0.899 0.533
Ag: 0.289 0.784 0.571
Ag: 0.216 0.711 0.429
Ag: 0.243 0.243 0.753
Ag: 0.328 0.329 0.393
Ag: 0.711 0.216 0.429
Ag: 0.642 0.143 0.286
Ag: 0.672 0.671 0.607
Ag: 0.928 0.928 0.357
Ag: 0.757 0.757 0.247
Ag: 0.142 0.642 0.286
Ag: 0.071 0.570 0.142
Ag: 0.101 0.101 0.467
Ag: 0.358 0.357 0.214
Ag: 0.180 0.187 0.104
Ag: 0.572 0.071 0.143
Ag: 0.500 0.000 0.000
Ag: 0.529 0.529 0.322
Ag: 0.787 0.785 0.070
Ag: 0.612 0.614 0.962
Ag: 0.958 0.958 0.181
Ag: 0.388 0.386 0.038
Pb: 0.256 0.596 0.859
Pb: 0.596 0.263 0.858
Pb: 0.690 0.024 0.714
Pb: 0.025 0.689 0.714
Pb: 0.125 0.451 0.570
Pb: 0.451 0.125 0.570
Pb: 0.549 0.875 0.430
Pb: 0.875 0.549 0.430
Pb: 0.975 0.311 0.286
Pb: 0.310 0.976 0.286
Pb: 0.404 0.737 0.142
Pb: 0.744 0.404 0.141
Pb: 0.837 0.170 0.001
Pb: 0.163 0.830 0.999
O: 0.368 0.743 0.919
O: 0.114 0.490 0.796
O: 0.362 0.365 0.921
O: 0.489 0.494 0.796
O: 0.744 0.369 0.919
O: 0.490 0.115 0.796
O: 0.795 0.172 0.776
O: 0.542 0.922 0.651
O: 0.792 0.793 0.777
O: 0.922 0.921 0.651
O: 0.172 0.794 0.776
O: 0.922 0.542 0.651
O: 0.227 0.600 0.633
O: 0.971 0.348 0.510
O: 0.221 0.222 0.635
O: 0.348 0.347 0.508
O: 0.600 0.227 0.633
O: 0.348 0.971 0.510
O: 0.652 0.029 0.490
O: 0.400 0.773 0.367
O: 0.652 0.653 0.492
O: 0.779 0.778 0.365
O: 0.029 0.652 0.490
O: 0.773 0.400 0.367
O: 0.078 0.458 0.349
O: 0.828 0.206 0.224
O: 0.078 0.079 0.349
O: 0.208 0.207 0.223
O: 0.458 0.078 0.349
O: 0.205 0.828 0.224
O: 0.510 0.885 0.204
O: 0.256 0.631 0.081
O: 0.511 0.506 0.204
O: 0.638 0.635 0.079
O: 0.886 0.510 0.204
O: 0.632 0.257 0.081
O: 0.939 0.310 0.063
O: 0.688 0.064 0.939
O: 0.935 0.936 0.062
O: 0.065 0.064 0.938
O: 0.312 0.936 0.061
O: 0.061 0.690 0.937

As for the energy relative to the elements: -0.815 eV per atom. As for the calculated volume: 1438 Å³ per cell. Its magnetization is 0.42 μB/cell. The calculation puts the total energy at -4.460 eV per atom.

# 2
AgPdO3 after structural relaxation, computed with PBE.

a = 6.478 Å, b = 6.478 Å, c = 6.838 Å
α = 90.00°, β = 90.00°, γ = 111.15°
Atoms (fractional coordinates):
Ag: 0.993 0.007 0.250
Ag: 0.380 0.620 0.750
Ag: 0.620 0.380 0.250
Ag: 0.007 0.993 0.750
Pd: 0.500 0.000 0.000
Pd: 0.500 0.000 0.500
Pd: 0.000 0.500 0.000
Pd: 0.000 0.500 0.500
O: 0.477 0.165 0.750
O: 0.165 0.477 0.250
O: 0.253 0.310 0.250
O: 0.310 0.253 0.750
O: 0.161 0.839 0.498
O: 0.839 0.161 0.998
O: 0.839 0.161 0.502
O: 0.161 0.839 0.002
O: 0.747 0.690 0.750
O: 0.690 0.747 0.250
O: 0.523 0.835 0.250
O: 0.835 0.523 0.750

As for the energy relative to the elements: -0.176 eV per atom. As for the calculated volume: 268 Å³ per cell. Its magnetization is 0.00 μB/cell. The calculation puts the total energy at -4.651 eV per atom.

# 3
PrZnAg2O6 after structural relaxation, computed with PBE.

a = 5.415 Å, b = 5.770 Å, c = 8.171 Å
α = 90.00°, β = 90.00°, γ = 90.00°
Atoms (fractional coordinates):
Pr: 0.021 0.679 0.000
Pr: 0.521 0.321 0.500
Zn: 0.469 0.186 0.000
Zn: 0.969 0.814 0.500
Ag: 0.000 0.243 0.752
Ag: 0.000 0.243 0.248
Ag: 0.500 0.757 0.252
Ag: 0.500 0.757 0.748
O: 0.112 0.174 0.500
O: 0.221 0.974 0.835
O: 0.221 0.974 0.165
O: 0.314 0.438 0.177
O: 0.314 0.438 0.823
O: 0.327 0.699 0.500
O: 0.612 0.826 0.000
O: 0.721 0.026 0.665
O: 0.721 0.026 0.335
O: 0.814 0.562 0.677
O: 0.814 0.562 0.323
O: 0.827 0.301 0.000

As for the energy relative to the elements: -1.365 eV per atom. As for the calculated volume: 255 Å³ per cell. Its magnetization is 0.06 μB/cell. The calculation puts the total energy at -5.092 eV per atom.

# 4
AgPtO2 after structural relaxation, computed with PBE.

a = 3.139 Å, b = 6.337 Å, c = 6.446 Å
α = 62.30°, β = 90.00°, γ = 90.00°
Atoms (fractional coordinates):
Ag: 0.000 0.500 0.000
Ag: 0.000 0.500 0.500
Pt: 0.500 0.000 0.500
Pt: 0.000 0.000 0.000
O: 0.000 0.766 0.632
O: 0.500 0.085 0.772
O: 0.500 0.915 0.228
O: 0.000 0.234 0.368

As for the energy relative to the elements: -0.675 eV per atom. As for the calculated volume: 114 Å³ per cell. Its magnetization is 0.00 μB/cell. The calculation puts the total energy at -5.032 eV per atom.

# 5
AgPtO2 after structural relaxation, computed with PBE.

a = 5.628 Å, b = 5.628 Å, c = 6.530 Å
α = 85.21°, β = 85.21°, γ = 32.24°
Atoms (fractional coordinates):
Ag: 0.639 0.639 0.552
Ag: 0.361 0.361 0.448
Pt: 0.116 0.116 0.057
Pt: 0.884 0.884 0.943
O: 0.683 0.683 0.873
O: 0.432 0.432 0.752
O: 0.568 0.568 0.248
O: 0.317 0.317 0.127

As for the energy relative to the elements: -0.654 eV per atom. As for the calculated volume: 110 Å³ per cell. Its magnetization is 0.00 μB/cell. The calculation puts the total energy at -5.011 eV per atom.

# 6
RbAgO3 after structural relaxation, computed with PBE.

a = 4.256 Å, b = 4.256 Å, c = 4.256 Å
α = 90.00°, β = 90.00°, γ = 90.00°
Atoms (fractional coordinates):
Rb: 0.000 0.000 0.000
Ag: 0.500 0.500 0.500
O: 0.500 0.500 0.000
O: 0.500 0.000 0.500
O: 0.000 0.500 0.500

As for the energy relative to the elements: -0.456 eV per atom. As for the calculated volume: 77 Å³ per cell. Its magnetization is 1.77 μB/cell. The calculation puts the total energy at -3.775 eV per atom.

# 7
RbAgO2 after structural relaxation, computed with PBE.

a = 3.107 Å, b = 3.944 Å, c = 6.061 Å
α = 90.00°, β = 90.00°, γ = 90.00°
Atoms (fractional coordinates):
Rb: 0.500 0.500 0.500
Ag: 0.500 0.000 0.000
O: 0.000 0.000 0.222
O: 0.000 0.000 0.778

As for the energy relative to the elements: -0.963 eV per atom. As for the calculated volume: 74 Å³ per cell. Its magnetization is 0.00 μB/cell. The calculation puts the total energy at -4.047 eV per atom.

# 8
RbAgO2 after structural relaxation, computed with PBE.

a = 5.871 Å, b = 5.871 Å, c = 5.940 Å
α = 78.96°, β = 78.96°, γ = 106.00°
Atoms (fractional coordinates):
Rb: 0.646 0.354 0.250
Rb: 0.354 0.646 0.750
Ag: 0.000 0.000 0.000
Ag: 0.000 0.000 0.500
O: 0.755 0.846 0.326
O: 0.846 0.755 0.826
O: 0.245 0.154 0.674
O: 0.154 0.245 0.174

As for the energy relative to the elements: -1.005 eV per atom. As for the calculated volume: 187 Å³ per cell. The calculation puts the total energy at -4.089 eV per atom.

# 9
ReAgO2 after structural relaxation, computed with PBE.

a = 7.303 Å, b = 7.303 Å, c = 7.303 Å
α = 130.96°, β = 130.96°, γ = 71.88°
Atoms (fractional coordinates):
Re: 0.375 0.125 0.250
Re: 0.875 0.125 0.750
Re: 0.875 0.125 0.250
Re: 0.875 0.625 0.750
Ag: 0.875 0.625 0.250
Ag: 0.375 0.625 0.750
Ag: 0.375 0.625 0.250
Ag: 0.375 0.125 0.750
O: 0.177 0.371 0.194
O: 0.177 0.982 0.806
O: 0.121 0.427 0.694
O: 0.573 0.879 0.306
O: 0.732 0.427 0.306
O: 0.573 0.268 0.694
O: 0.629 0.823 0.806
O: 0.018 0.823 0.194

As for the energy relative to the elements: -0.496 eV per atom. As for the calculated volume: 217 Å³ per cell. Its magnetization is 3.29 μB/cell. The calculation puts the total energy at -6.446 eV per atom.

# 10
AgRhO2 after structural relaxation, computed with PBE.

a = 6.584 Å, b = 6.584 Å, c = 6.584 Å
α = 27.40°, β = 27.40°, γ = 27.40°
Atoms (fractional coordinates):
Ag: 0.000 0.000 0.000
Rh: 0.500 0.500 0.500
O: 0.887 0.887 0.887
O: 0.113 0.113 0.113

As for the energy relative to the elements: -0.877 eV per atom. As for the calculated volume: 53 Å³ per cell. Its magnetization is 0.00 μB/cell. The calculation puts the total energy at -5.556 eV per atom.

# 11
AgRhO2 after structural relaxation, computed with PBE.

a = 3.123 Å, b = 3.123 Å, c = 12.639 Å
α = 90.00°, β = 90.00°, γ = 120.00°
Atoms (fractional coordinates):
Ag: 0.667 0.333 0.750
Ag: 0.333 0.667 0.250
Rh: 0.000 0.000 0.000
Rh: 0.000 0.000 0.500
O: 0.667 0.333 0.580
O: 0.667 0.333 0.920
O: 0.333 0.667 0.080
O: 0.333 0.667 0.420

As for the energy relative to the elements: -0.876 eV per atom. As for the calculated volume: 107 Å³ per cell. Its magnetization is 0.00 μB/cell. The calculation puts the total energy at -5.556 eV per atom.

# 12
AgRuO4 after structural relaxation, computed with PBE.

a = 7.040 Å, b = 7.040 Å, c = 7.040 Å
α = 135.94°, β = 135.94°, γ = 64.07°
Atoms (fractional coordinates):
Ag: 0.500 0.500 0.000
Ag: 0.250 0.750 0.500
Ru: 0.000 0.000 0.000
Ru: 0.750 0.250 0.500
O: 0.681 0.068 0.910
O: 0.592 0.479 0.410
O: 0.521 0.931 0.113
O: 0.932 0.842 0.613
O: 0.229 0.319 0.387
O: 0.818 0.408 0.887
O: 0.069 0.182 0.590
O: 0.158 0.771 0.090

As for the energy relative to the elements: -1.014 eV per atom. As for the calculated volume: 166 Å³ per cell. The calculation puts the total energy at -5.872 eV per atom.